[1]
# LiFeF4

A geometry-optimized LiFeF4 structure (GGA+U, Materials Project).

```
LiFeF4
1.0
5.2094 0.0000 0.0000
0.0000 5.0709 0.0000
-1.3720 0.0000 5.3861
Li Fe F
2 2 8
direct
0.0000 0.1725 0.2500
0.0000 0.8275 0.7500
0.5000 0.3137 0.7500
0.5000 0.6863 0.2500
0.2486 0.0460 0.6274
0.2486 0.9540 0.1274
0.2679 0.4731 0.3980
0.2679 0.5269 0.8980
0.7321 0.4731 0.1020
0.7321 0.5269 0.6020
0.7514 0.0460 0.8726
0.7514 0.9540 0.3726
```

## Properties
The total magnetic moment comes out at 5.000 μB/f.u. As for the space group: P2/c (13). For the energy relative to the elements, the calculation gives -2.75 eV per atom. Its total energy is -5.0698 eV/atom. Its energy above the lowest structure with this stoichiometry is 77 meV per atom.

***

[2]
# LiFeF4

A geometry-optimized LiFeF4 structure (GGA+U, Materials Project).

```
LiFeF4
1.0
6.2745 -1.9593 0.0000
6.2745 1.9593 0.0000
-1.8735 0.0000 6.5801
Li Fe F
2 2 8
direct
0.0892 0.0892 0.2033
0.9108 0.9108 0.7967
0.1945 0.1945 0.7772
0.8055 0.8055 0.2228
0.0687 0.0687 0.8788
0.1302 0.1302 0.5036
0.2804 0.2804 0.1500
0.3508 0.3508 0.7890
0.6492 0.6492 0.2110
0.7196 0.7196 0.8500
0.8698 0.8698 0.4964
0.9313 0.9313 0.1212
```

## Properties
The total magnetic moment comes out at 4.999 μB/f.u. As for the space group: C2/m (12). For the energy relative to the elements, the calculation gives -2.76 eV per atom. Its total energy is -5.0870 eV/atom. Its energy above the lowest structure with this stoichiometry is 60 meV per atom.